Material: TeI4
Method: DFT, PBE
State: relaxed

Structure (POSCAR):
```
TeI4
1.0
11.620 0.000 0.000
0.000 14.431 0.000
-3.184 0.000 22.721
Te I
16 64
Direct
0.045 0.138 0.189
0.045 0.362 0.689
0.173 0.146 0.393
0.173 0.354 0.893
0.235 0.630 0.169
0.235 0.870 0.669
0.360 0.629 0.374
0.360 0.871 0.874
0.640 0.129 0.126
0.640 0.371 0.626
0.765 0.130 0.331
0.765 0.370 0.831
0.827 0.646 0.107
0.827 0.854 0.607
0.955 0.638 0.311
0.955 0.862 0.811
0.016 0.743 0.699
0.016 0.757 0.199
0.058 0.517 0.094
0.058 0.983 0.594
0.077 0.023 0.093
0.077 0.477 0.593
0.119 0.242 0.985
0.119 0.258 0.485
0.135 0.742 0.884
0.135 0.758 0.384
0.176 0.512 0.284
0.176 0.988 0.784
0.193 0.018 0.275
0.193 0.482 0.775
0.223 0.238 0.675
0.223 0.262 0.175
0.273 0.748 0.579
0.273 0.752 0.079
0.308 0.528 0.472
0.308 0.972 0.972
0.313 0.016 0.462
0.313 0.484 0.962
0.353 0.240 0.867
0.353 0.260 0.367
0.390 0.748 0.257
0.390 0.752 0.757
0.410 0.502 0.154
0.410 0.998 0.654
0.463 0.007 0.150
0.463 0.493 0.650
0.496 0.239 0.561
0.496 0.261 0.061
0.504 0.739 0.939
0.504 0.761 0.439
0.537 0.507 0.350
0.537 0.993 0.850
0.590 0.002 0.346
0.590 0.498 0.846
0.610 0.248 0.243
0.610 0.252 0.743
0.647 0.740 0.633
0.647 0.760 0.133
0.687 0.516 0.038
0.687 0.984 0.538
0.692 0.028 0.028
0.692 0.472 0.528
0.727 0.248 0.921
0.727 0.252 0.421
0.777 0.738 0.825
0.777 0.762 0.325
0.807 0.518 0.225
0.807 0.982 0.725
0.824 0.012 0.216
0.824 0.488 0.716
0.865 0.242 0.616
0.865 0.258 0.116
0.881 0.742 0.515
0.881 0.758 0.015
0.923 0.523 0.407
0.923 0.977 0.907
0.942 0.017 0.406
0.942 0.483 0.906
0.984 0.243 0.801
0.984 0.257 0.301
```

The space group is P2_1/c, No. 14. For the total magnetization, the calculation gives 0.00 μB/atom. The calculation puts the formation energy from the elements at -0.423 eV/atom.

***

Material: TbGe2Pd
Method: DFT, PBE
State: relaxed

Structure (POSCAR):
```
TbGe2Pd
1.0
-2.171 4.410 8.263
2.171 -4.410 8.263
2.171 4.410 -8.263
Tb Ge Pd
4 8 4
Direct
0.202 0.202 0.000
0.240 0.000 0.240
0.760 0.000 0.760
0.798 0.798 0.000
0.074 0.574 0.500
0.152 0.802 0.350
0.425 0.425 0.000
0.452 0.802 0.650
0.548 0.198 0.350
0.575 0.575 0.000
0.848 0.198 0.650
0.926 0.426 0.500
0.102 0.352 0.750
0.397 0.648 0.750
0.603 0.352 0.250
0.898 0.648 0.250
```

The space group is Immm, No. 71. The calculation puts the formation energy from the elements at -0.774 eV/atom.

***

Material: KSn2F5
Method: DFT, PBE
State: relaxed

Structure (POSCAR):
```
KSn2F5
1.0
7.392 0.000 0.000
-3.696 6.402 0.000
0.000 0.000 56.585
K Sn F
18 36 90
Direct
0.000 0.000 0.000
0.000 0.000 0.163
0.000 0.000 0.328
0.000 0.000 0.496
0.000 0.000 0.665
0.000 0.000 0.833
0.333 0.667 0.157
0.333 0.667 0.322
0.333 0.667 0.489
0.333 0.667 0.658
0.333 0.667 0.826
0.333 0.667 0.994
0.667 0.333 0.159
0.667 0.333 0.326
0.667 0.333 0.492
0.667 0.333 0.660
0.667 0.333 0.828
0.667 0.333 0.995
0.000 0.340 0.382
0.000 0.340 0.882
0.005 0.675 0.769
0.009 0.674 0.602
0.325 0.330 0.769
0.326 0.335 0.602
0.333 0.328 0.104
0.334 0.328 0.271
0.339 0.001 0.049
0.340 0.000 0.382
0.340 0.000 0.882
0.340 0.001 0.549
0.340 0.002 0.215
0.340 0.002 0.715
0.353 0.345 0.937
0.356 0.349 0.436
0.651 0.006 0.436
0.655 0.007 0.937
0.660 0.660 0.382
0.660 0.660 0.882
0.661 0.660 0.549
0.662 0.660 0.215
0.662 0.660 0.715
0.662 0.661 0.049
0.665 0.991 0.602
0.670 0.995 0.769
0.672 0.005 0.104
0.672 0.006 0.271
0.993 0.647 0.937
0.994 0.644 0.436
0.994 0.666 0.271
0.995 0.667 0.104
0.998 0.338 0.215
0.998 0.338 0.715
0.999 0.338 0.049
0.999 0.339 0.549
0.000 0.000 0.106
0.000 0.000 0.273
0.000 0.775 0.543
0.000 0.777 0.376
0.001 0.775 0.708
0.001 0.777 0.041
0.001 0.777 0.209
0.001 0.777 0.874
0.003 0.357 0.845
0.004 0.357 0.013
0.004 0.358 0.679
0.005 0.358 0.179
0.006 0.358 0.346
0.006 0.360 0.513
0.104 0.441 0.944
0.106 0.441 0.446
0.110 0.443 0.111
0.110 0.443 0.277
0.112 0.450 0.778
0.113 0.450 0.612
0.223 0.223 0.874
0.223 0.224 0.041
0.223 0.224 0.209
0.223 0.224 0.376
0.225 0.225 0.543
0.225 0.225 0.708
0.322 0.295 0.805
0.323 0.294 0.638
0.323 0.298 0.972
0.324 0.298 0.472
0.327 0.307 0.140
0.328 0.309 0.306
0.333 0.667 0.045
0.333 0.667 0.213
0.333 0.667 0.379
0.333 0.667 0.547
0.333 0.667 0.712
0.333 0.667 0.877
0.333 0.890 0.111
0.333 0.890 0.277
0.335 0.894 0.446
0.337 0.887 0.612
0.337 0.896 0.944
0.338 0.888 0.778
0.352 0.994 0.346
0.353 0.995 0.179
0.354 0.994 0.513
0.354 0.996 0.013
0.354 0.997 0.845
0.355 0.996 0.679
0.550 0.662 0.778
0.550 0.663 0.612
0.557 0.667 0.111
0.557 0.667 0.277
0.559 0.663 0.944
0.559 0.665 0.446
0.640 0.646 0.513
0.642 0.645 0.679
0.642 0.647 0.179
0.642 0.648 0.346
0.643 0.646 0.013
0.643 0.646 0.845
0.667 0.333 0.043
0.667 0.333 0.109
0.667 0.333 0.210
0.667 0.333 0.276
0.667 0.333 0.378
0.667 0.333 0.442
0.667 0.333 0.545
0.667 0.333 0.710
0.667 0.333 0.876
0.667 0.333 0.941
0.691 0.020 0.306
0.693 0.020 0.140
0.702 0.025 0.972
0.702 0.027 0.472
0.705 0.027 0.805
0.706 0.029 0.638
0.775 0.000 0.543
0.775 0.999 0.708
0.776 0.000 0.376
0.776 0.999 0.041
0.776 0.999 0.209
0.777 0.999 0.874
0.971 0.677 0.638
0.973 0.676 0.472
0.973 0.678 0.805
0.975 0.677 0.972
0.980 0.672 0.306
0.980 0.673 0.140
```

The space group is P3, No. 143. For the total magnetization, the calculation gives 0.00 μB/atom. The calculation puts the formation energy from the elements at -2.665 eV/atom.

***

Material: La2Os2I
Method: DFT, PBE
State: relaxed

Structure (POSCAR):
```
La2Os2I
1.0
4.341 0.000 0.000
-2.171 3.759 0.000
0.000 0.000 18.101
La Os I
4 4 2
Direct
0.000 0.000 0.108
0.000 0.000 0.392
0.000 0.000 0.608
0.000 0.000 0.892
0.333 0.667 0.006
0.333 0.667 0.494
0.667 0.333 0.506
0.667 0.333 0.994
0.333 0.667 0.750
0.667 0.333 0.250
```

The space group is P6_3/mmc, No. 194. The calculation puts the formation energy from the elements at -0.673 eV/atom.